# Rb3Mo12PO40

Crystalline Rb3Mo12PO40 at its relaxed geometry (PBE with a Hubbard U, the Materials Project database).

## Properties
- space-group type = No. 224
- energy of formation from the pure elements (eV per atom) = -2.0757

Cell lengths 12.0336, 12.0336, 12.0336 Å; angles 90.00, 90.00, 90.00 degrees
Last column: nearest neighbours and their distance in Å.
Element x y z (fractional)
1 Rb 0.2500 0.2500 0.7500  12 O 3.21-3.41
2 Rb 0.2500 0.7500 0.2500  12 O 3.21-3.41
3 Rb 0.2500 0.7500 0.7500  12 O 3.21-3.41
4 Rb 0.7500 0.2500 0.2500  12 O 3.21-3.41
5 Rb 0.7500 0.2500 0.7500  12 O 3.21-3.41
6 Rb 0.7500 0.7500 0.2500  12 O 3.21-3.41
7 Mo 0.0377 0.0377 0.2421  1 O 1.71
8 Mo 0.0377 0.2421 0.0377  1 O 1.71
9 Mo 0.0377 0.2579 0.4623  1 O 1.71
10 Mo 0.0377 0.4623 0.2579  1 O 1.71
11 Mo 0.2421 0.0377 0.0377  1 O 1.71
12 Mo 0.2421 0.4623 0.4623  1 O 1.71
13 Mo 0.2579 0.0377 0.4623  1 O 1.71
14 Mo 0.2579 0.4623 0.0377  1 O 1.71
15 Mo 0.4623 0.0377 0.2579  1 O 1.71
16 Mo 0.4623 0.2421 0.4623  1 O 1.71
17 Mo 0.4623 0.2579 0.0377  1 O 1.71
18 Mo 0.4623 0.4623 0.2421  1 O 1.71
19 Mo 0.5377 0.5377 0.7579  1 O 1.71
20 Mo 0.5377 0.7421 0.9623  1 O 1.71
21 Mo 0.5377 0.7579 0.5377  1 O 1.71
22 Mo 0.5377 0.9623 0.7421  1 O 1.71
23 Mo 0.7421 0.5377 0.9623  1 O 1.71
24 Mo 0.7421 0.9623 0.5377  1 O 1.71
25 Mo 0.7579 0.5377 0.5377  1 O 1.71
26 Mo 0.7579 0.9623 0.9623  1 O 1.71
27 Mo 0.9623 0.5377 0.7421  1 O 1.71
28 Mo 0.9623 0.7421 0.5377  1 O 1.71
29 Mo 0.9623 0.7579 0.9623  1 O 1.71
30 Mo 0.9623 0.9623 0.7579  1 O 1.71
31 P 0.2500 0.2500 0.2500  4 O 1.55
32 P 0.7500 0.7500 0.7500  4 O 1.55
33 O 0.0023 0.6526 0.8474  2 Mo 1.94
34 O 0.0023 0.8474 0.6526  2 Mo 1.94
35 O 0.0321 0.6264 0.6264  2 Mo 1.94
36 O 0.0321 0.8736 0.8736  2 Mo 1.94
37 O 0.0617 0.0617 0.7342  1 Mo 1.71
38 O 0.0617 0.4383 0.7658  1 Mo 1.71
39 O 0.0617 0.7342 0.0617  1 Mo 1.71
40 O 0.0617 0.7658 0.4383  1 Mo 1.71
41 O 0.1264 0.1264 0.9679  2 Mo 1.94
42 O 0.1264 0.3736 0.5321  2 Mo 1.94
43 O 0.1264 0.5321 0.3736  2 Mo 1.94
44 O 0.1264 0.9679 0.1264  2 Mo 1.94
45 O 0.1526 0.1526 0.5023  2 Mo 1.94
46 O 0.1526 0.3474 0.9977  2 Mo 1.94
47 O 0.1526 0.5023 0.1526  2 Mo 1.94
48 O 0.1526 0.9977 0.3474  2 Mo 1.94
49 O 0.1758 0.1758 0.1758  1 P 1.55
50 O 0.1758 0.3242 0.3242  1 P 1.55
51 O 0.2342 0.5617 0.9383  1 Mo 1.71
52 O 0.2342 0.9383 0.5617  1 Mo 1.71
53 O 0.2658 0.5617 0.5617  1 Mo 1.71
54 O 0.2658 0.9383 0.9383  1 Mo 1.71
55 O 0.3242 0.1758 0.3242  1 P 1.55
56 O 0.3242 0.3242 0.1758  1 P 1.55
57 O 0.3474 0.1526 0.9977  2 Mo 1.94
58 O 0.3474 0.3474 0.5023  2 Mo 1.94
59 O 0.3474 0.5023 0.3474  2 Mo 1.94
60 O 0.3474 0.9977 0.1526  2 Mo 1.94
61 O 0.3736 0.1264 0.5321  2 Mo 1.94
62 O 0.3736 0.3736 0.9679  2 Mo 1.94
63 O 0.3736 0.5321 0.1264  2 Mo 1.94
64 O 0.3736 0.9679 0.3736  2 Mo 1.94
65 O 0.4383 0.0617 0.7658  1 Mo 1.71
66 O 0.4383 0.4383 0.7342  1 Mo 1.71
67 O 0.4383 0.7342 0.4383  1 Mo 1.71
68 O 0.4383 0.7658 0.0617  1 Mo 1.71
69 O 0.4679 0.6264 0.8736  2 Mo 1.94
70 O 0.4679 0.8736 0.6264  2 Mo 1.94
71 O 0.4977 0.6526 0.6526  2 Mo 1.94
72 O 0.4977 0.8474 0.8474  2 Mo 1.94
73 O 0.5023 0.1526 0.1526  2 Mo 1.94
74 O 0.5023 0.3474 0.3474  2 Mo 1.94
75 O 0.5321 0.1264 0.3736  2 Mo 1.94
76 O 0.5321 0.3736 0.1264  2 Mo 1.94
77 O 0.5617 0.2342 0.9383  1 Mo 1.71
78 O 0.5617 0.2658 0.5617  1 Mo 1.71
79 O 0.5617 0.5617 0.2658  1 Mo 1.71
80 O 0.5617 0.9383 0.2342  1 Mo 1.71
81 O 0.6264 0.0321 0.6264  2 Mo 1.94
82 O 0.6264 0.4679 0.8736  2 Mo 1.94
83 O 0.6264 0.6264 0.0321  2 Mo 1.94
84 O 0.6264 0.8736 0.4679  2 Mo 1.94
85 O 0.6526 0.0023 0.8474  2 Mo 1.94
86 O 0.6526 0.4977 0.6526  2 Mo 1.94
87 O 0.6526 0.6526 0.4977  2 Mo 1.94
88 O 0.6526 0.8474 0.0023  2 Mo 1.94
89 O 0.6758 0.6758 0.8242  1 P 1.55
90 O 0.6758 0.8242 0.6758  1 P 1.55
91 O 0.7342 0.0617 0.0617  1 Mo 1.71
92 O 0.7342 0.4383 0.4383  1 Mo 1.71
93 O 0.7658 0.0617 0.4383  1 Mo 1.71
94 O 0.7658 0.4383 0.0617  1 Mo 1.71
95 O 0.8242 0.6758 0.6758  1 P 1.55
96 O 0.8242 0.8242 0.8242  1 P 1.55
97 O 0.8474 0.0023 0.6526  2 Mo 1.94
98 O 0.8474 0.4977 0.8474  2 Mo 1.94
99 O 0.8474 0.6526 0.0023  2 Mo 1.94
100 O 0.8474 0.8474 0.4977  2 Mo 1.94
101 O 0.8736 0.0321 0.8736  2 Mo 1.94
102 O 0.8736 0.4679 0.6264  2 Mo 1.94
103 O 0.8736 0.6264 0.4679  2 Mo 1.94
104 O 0.8736 0.8736 0.0321  2 Mo 1.94
105 O 0.9383 0.2342 0.5617  1 Mo 1.71
106 O 0.9383 0.2658 0.9383  1 Mo 1.71
107 O 0.9383 0.5617 0.2342  1 Mo 1.71
108 O 0.9383 0.9383 0.2658  1 Mo 1.71
109 O 0.9679 0.1264 0.1264  2 Mo 1.94
110 O 0.9679 0.3736 0.3736  2 Mo 1.94
111 O 0.9977 0.1526 0.3474  2 Mo 1.94
112 O 0.9977 0.3474 0.1526  2 Mo 1.94


# Li9Mn2Co5O16

Crystalline Li9Mn2Co5O16 at its relaxed geometry (PBE with a Hubbard U, the Materials Project database).

## Properties
- excess energy over the best structure of this formula in the dataset (eV/atom) = 0.0567
- space-group type = No. 2
- energy of formation from the pure elements (eV per atom) = -1.8074

Cell lengths 5.7660, 5.8374, 10.1085 Å; angles 74.17, 73.77, 60.64 degrees
Last column: nearest neighbours and their distance in Å.
Element x y z (fractional)
1 Li 0.0000 0.0000 0.0000  6 O 2.04-2.10
2 Li 0.2419 0.7596 0.7525  6 O 2.03-2.18
3 Li 0.2440 0.2484 0.7511  6 O 2.12-2.29
4 Li 0.2480 0.7601 0.2388  5 O 2.03-2.20
5 Li 0.2546 0.2508 0.2469  6 O 2.06-2.12
6 Li 0.7454 0.7492 0.7531  6 O 2.06-2.12
7 Li 0.7520 0.2399 0.7612  5 O 2.03-2.20
8 Li 0.7560 0.7516 0.2489  6 O 2.12-2.29
9 Li 0.7581 0.2404 0.2475  6 O 2.03-2.18
10 Mn 0.0000 0.0000 0.5000  6 O 1.95
11 Mn 0.0000 0.5000 0.0000  6 O 1.95
12 Co 0.0000 0.5000 0.5000  6 O 2.02-2.07
13 Co 0.5000 0.0000 0.0000  4 O 1.91
14 Co 0.5000 0.0000 0.5000  6 O 1.91-2.13
15 Co 0.5000 0.5000 0.0000  6 O 1.89-1.95
16 Co 0.5000 0.5000 0.5000  6 O 2.04-2.08
17 O 0.1041 0.1281 0.6220  1 Mn 1.95, 3 Li 2.03-2.12, 2 Co 2.07-2.13
18 O 0.1117 0.6498 0.6162  1 Mn 1.95, 2 Co 2.02-2.08, 2 Li 2.08-2.10
19 O 0.1427 0.1413 0.1059  1 Co 1.91, 1 Mn 1.95, 2 Li 2.04-2.07
20 O 0.1454 0.6092 0.1105  1 Co 1.92, 1 Mn 1.95, 3 Li 2.07-2.10
21 O 0.3551 0.4042 0.8822  1 Mn 1.95, 1 Co 1.95, 3 Li 2.03-2.17
22 O 0.3615 0.8854 0.3875  1 Mn 1.95, 2 Co 1.96-2.08, 1 Li 2.12
23 O 0.3790 0.3472 0.3888  3 Co 1.91-2.04, 1 Li 2.07
24 O 0.3928 0.8485 0.8972  2 Co 1.89-1.91, 2 Li 2.05-2.06
25 O 0.6072 0.1515 0.1028  2 Co 1.89-1.91, 2 Li 2.05-2.06
26 O 0.6210 0.6528 0.6112  3 Co 1.91-2.04, 1 Li 2.07
27 O 0.6385 0.1146 0.6125  1 Mn 1.95, 2 Co 1.96-2.08, 1 Li 2.12
28 O 0.6449 0.5958 0.1178  1 Mn 1.95, 1 Co 1.95, 3 Li 2.03-2.17
29 O 0.8546 0.3908 0.8895  1 Co 1.92, 1 Mn 1.95, 3 Li 2.07-2.10
30 O 0.8573 0.8587 0.8941  1 Co 1.91, 1 Mn 1.95, 2 Li 2.04-2.07
31 O 0.8883 0.3502 0.3838  1 Mn 1.95, 2 Co 2.02-2.08, 2 Li 2.08-2.10
32 O 0.8959 0.8719 0.3780  1 Mn 1.95, 3 Li 2.03-2.12, 2 Co 2.07-2.13


# CoAsO5

Crystalline CoAsO5 at its relaxed geometry (PBE with a Hubbard U, the Materials Project database).

## Properties
- space-group type = No. 2
- energy of formation from the pure elements (eV per atom) = -1.0047

Cell lengths 6.6198, 7.4144, 15.1921 Å; angles 91.01, 95.57, 96.47 degrees
Last column: nearest neighbours and their distance in Å.
Element x y z (fractional)
1 Co 0.1103 0.4082 0.4311  2 O 1.67-1.87
2 Co 0.1414 0.3509 0.0509  1 O 1.65
3 Co 0.3615 0.0950 0.9329  1 O 1.61
4 Co 0.3718 0.1518 0.5481  1 O 1.69
5 Co 0.6282 0.8482 0.4519  1 O 1.69
6 Co 0.6385 0.9050 0.0671  1 O 1.61
7 Co 0.8586 0.6491 0.9491  1 O 1.65
8 Co 0.8897 0.5918 0.5689  2 O 1.67-1.87
9 As 0.1006 0.8322 0.4070  4 O 1.70-1.79
10 As 0.1479 0.9356 0.1099  4 O 1.66-1.77
11 As 0.3533 0.6674 0.9049  4 O 1.70-1.78
12 As 0.4028 0.5689 0.6118  4 O 1.69-1.78
13 As 0.5972 0.4311 0.3882  4 O 1.69-1.78
14 As 0.6467 0.3326 0.0951  4 O 1.70-1.78
15 As 0.8521 0.0644 0.8901  4 O 1.66-1.77
16 As 0.8994 0.1678 0.5930  4 O 1.70-1.79
17 O 0.0011 0.9673 0.3286  1 As 1.70
18 O 0.0487 0.2833 0.3378  1 Co 1.67
19 O 0.0786 0.1649 0.9524  1 As 1.77
20 O 0.0822 0.1930 0.5132  1 As 1.79, 1 Co 2.00
21 O 0.1176 0.1633 0.1321  1 As 1.75, 1 Co 1.88
22 O 0.1222 0.6162 0.3631  1 As 1.75, 1 Co 1.87
23 O 0.1528 0.5730 0.9627  1 As 1.75
24 O 0.1777 0.5697 0.5375  1 As 1.78, 1 Co 1.98
25 O 0.2082 0.8230 0.2004  1 As 1.66
26 O 0.2140 0.4950 0.1355  1 Co 1.65
27 O 0.3053 0.8706 0.8619  1 As 1.70
28 O 0.3173 0.0089 0.6305  1 Co 1.69
29 O 0.3358 0.9265 0.4588  1 As 1.74
30 O 0.3387 0.9405 0.0362  1 As 1.77, 1 Co 1.97
31 O 0.3870 0.2068 0.8439  1 Co 1.61
32 O 0.3872 0.7007 0.7026  1 As 1.69
33 O 0.3876 0.5240 0.8171  1 As 1.74
34 O 0.4008 0.3366 0.4498  1 As 1.76
35 O 0.4215 0.3148 0.0200  1 As 1.78
36 O 0.4331 0.3465 0.6332  1 As 1.72, 1 Co 1.90
37 O 0.5669 0.6535 0.3668  1 As 1.72, 1 Co 1.90
38 O 0.5785 0.6852 0.9800  1 As 1.78
39 O 0.5992 0.6634 0.5502  1 As 1.76
40 O 0.6124 0.4760 0.1829  1 As 1.74
41 O 0.6128 0.2993 0.2974  1 As 1.69
42 O 0.6130 0.7932 0.1561  1 Co 1.61
43 O 0.6613 0.0595 0.9638  1 As 1.77, 1 Co 1.97
44 O 0.6642 0.0735 0.5412  1 As 1.74
45 O 0.6827 0.9911 0.3695  1 Co 1.69
46 O 0.6947 0.1294 0.1381  1 As 1.70
47 O 0.7860 0.5050 0.8645  1 Co 1.65
48 O 0.7918 0.1770 0.7996  1 As 1.66
49 O 0.8223 0.4303 0.4625  1 As 1.78, 1 Co 1.98
50 O 0.8472 0.4270 0.0373  1 As 1.75
51 O 0.8778 0.3838 0.6369  1 As 1.75, 1 Co 1.87
52 O 0.8824 0.8367 0.8679  1 As 1.75, 1 Co 1.88
53 O 0.9178 0.8070 0.4868  1 As 1.79, 1 Co 2.00
54 O 0.9214 0.8351 0.0476  1 As 1.77
55 O 0.9513 0.7167 0.6622  1 Co 1.67
56 O 0.9989 0.0327 0.6714  1 As 1.70